# 1
A plane-wave DFT calculation with GGA-PBE was carried out for a geometry-optimized MgCuSn structure.

* symmetry: F-43m
* DFT total energy: -3.41 eV per atom
* volume: 20.2 Å³ per atom

Lattice parameters (Å, degrees): 4.410 4.410 4.410 60.00 60.00 60.00
Positions (direct):
Sn 0.250 0.250 0.250
Mg 0.750 0.750 0.750
Cu 0.000 0.000 0.000

---

# 2
A plane-wave DFT calculation with GGA-PBE was carried out for a geometry-optimized Mg6CuSn structure.

* DFT total energy: -2.22 eV per atom
* volume: 21.0 Å³ per atom

Lattice parameters (Å, degrees): 4.940 6.336 10.760 90.00 90.00 90.00
Positions (direct):
Mg 0.500 0.251 0.084
Mg 0.000 0.500 0.665
Mg 0.500 0.249 0.584
Cu 0.500 0.500 0.333
Mg 0.000 0.738 0.415
Mg 0.000 0.262 0.415
Mg 0.000 0.238 0.915
Mg 0.000 0.000 0.165
Mg 0.500 0.749 0.084
Cu 0.500 0.000 0.833
Mg 0.000 0.000 0.672
Mg 0.000 0.500 0.172
Sn 0.500 0.500 0.833
Sn 0.500 0.000 0.333
Mg 0.500 0.751 0.584
Mg 0.000 0.762 0.915

---

# 3
A plane-wave DFT calculation with GGA-PBE was carried out for a geometry-optimized MgCuSn structure.

* symmetry: F-43m
* DFT total energy: -3.15 eV per atom
* volume: 21.8 Å³ per atom

Lattice parameters (Å, degrees): 4.526 4.526 4.526 60.00 60.00 60.00
Positions (direct):
Mg 0.500 0.500 0.500
Sn 0.250 0.250 0.250
Cu 0.000 0.000 0.000

---

# 4
A plane-wave DFT calculation with GGA-PBE was carried out for a geometry-optimized SrMg6Cu structure.

* E above lowest polymorph: 0.0 kJ per mole of atoms
* volume: 25.1 Å³ per atom

Lattice parameters (Å, degrees): 4.986 6.106 13.201 90.00 90.00 90.00
Positions (direct):
Mg 0.000 0.500 0.799
Mg 0.000 0.758 0.076
Sr 0.500 0.000 0.700
Mg 0.000 0.242 0.076
Cu 0.500 0.000 0.105
Mg 0.000 0.742 0.576
Mg 0.500 0.743 0.939
Mg 0.000 0.258 0.576
Mg 0.000 0.500 0.367
Mg 0.500 0.757 0.439
Cu 0.500 0.500 0.605
Mg 0.500 0.257 0.939
Mg 0.000 0.000 0.867
Mg 0.500 0.243 0.439
Mg 0.000 0.000 0.299
Sr 0.500 0.500 0.200

---

# 5
A plane-wave DFT calculation with GGA-PBE was carried out for a geometry-optimized SrMg6Cu structure.

* E above lowest polymorph: 0.6 kJ per mole of atoms
* volume: 24.7 Å³ per atom

Lattice parameters (Å, degrees): 4.886 6.317 12.829 90.00 90.00 90.00
Positions (direct):
Mg 0.000 0.751 0.056
Mg 0.000 0.251 0.556
Mg 0.500 0.751 0.427
Mg 0.000 0.500 0.809
Mg 0.500 0.749 0.927
Cu 0.000 0.500 0.380
Mg 0.500 0.500 0.643
Mg 0.000 0.249 0.056
Sr 0.500 0.500 0.203
Mg 0.000 0.000 0.309
Mg 0.500 0.000 0.143
Cu 0.000 0.000 0.880
Sr 0.500 0.000 0.703
Mg 0.500 0.251 0.927
Mg 0.000 0.749 0.556
Mg 0.500 0.249 0.427

---

# 6
A plane-wave DFT calculation with GGA-PBE was carried out for a geometry-optimized TbMg4Cu structure.

* symmetry: Cmmm
* DFT total energy: -2.64 eV per atom
* volume: 22.3 Å³ per atom

Lattice parameters (Å, degrees): 11.995 11.995 4.037 90.00 90.00 112.81
Positions (direct):
Mg 0.625 0.135 0.500
Tb 0.303 0.303 0.000
Mg 0.000 0.000 0.000
Tb 0.697 0.697 0.000
Mg 0.500 0.500 0.500
Mg 0.587 0.924 0.000
Mg 0.210 0.050 0.500
Cu 0.446 0.235 0.500
Mg 0.924 0.587 0.000
Tb 0.632 0.368 0.000
Mg 0.050 0.210 0.500
Mg 0.165 0.835 0.000
Tb 0.368 0.632 0.000
Mg 0.950 0.790 0.500
Mg 0.375 0.865 0.500
Mg 0.076 0.413 0.000
Mg 0.413 0.076 0.000
Cu 0.765 0.554 0.500
Cu 0.554 0.765 0.500
Mg 0.790 0.950 0.500
Cu 0.235 0.446 0.500
Mg 0.865 0.375 0.500
Mg 0.835 0.165 0.000
Mg 0.135 0.625 0.500